The following is a PBE calculation of B24Mo7 after structural relaxation, from the Materials Project.

a = 5.235 Å, b = 5.235 Å, c = 12.260 Å
α = 90.00°, β = 90.00°, γ = 120.00°
Fractional coordinates of all 31 atoms:
1 B 0.001 0.334 0.118
2 B 0.001 0.334 0.882
3 B 0.001 0.667 0.118
4 B 0.001 0.667 0.882
5 B 0.002 0.334 0.372
6 B 0.002 0.334 0.628
7 B 0.002 0.668 0.372
8 B 0.002 0.668 0.628
9 B 0.332 0.334 0.372
10 B 0.332 0.334 0.628
11 B 0.332 0.998 0.372
12 B 0.332 0.998 0.628
13 B 0.333 0.334 0.118
14 B 0.333 0.334 0.882
15 B 0.333 0.999 0.118
16 B 0.333 0.999 0.882
17 B 0.666 0.667 0.118
18 B 0.666 0.667 0.882
19 B 0.666 0.668 0.372
20 B 0.666 0.668 0.628
21 B 0.666 0.998 0.372
22 B 0.666 0.998 0.628
23 B 0.666 0.999 0.118
24 B 0.666 0.999 0.882
25 Mo 0.000 0.000 0.244
26 Mo 0.000 0.000 0.756
27 Mo 0.333 0.667 0.000
28 Mo 0.333 0.667 0.500
29 Mo 0.667 0.333 0.247
30 Mo 0.667 0.333 0.500
31 Mo 0.667 0.333 0.753

Summary:
space-group type = P-6m2
calculated total energy = -7.76 eV/atom
formation enthalpy at 0 K = -4.4 eV/f.u.

The following is a PBE calculation of Gd4Ga12Pd after structural relaxation, from the Materials Project.

a = 8.129 Å, b = 8.129 Å, c = 8.129 Å
α = 109.47°, β = 109.47°, γ = 109.47°
Fractional coordinates of all 17 atoms:
1 Gd 0.000 0.000 0.500
2 Gd 0.000 0.500 0.000
3 Gd 0.500 0.000 0.000
4 Gd 0.500 0.500 0.500
5 Ga 0.000 0.296 0.296
6 Ga 0.000 0.704 0.704
7 Ga 0.250 0.500 0.750
8 Ga 0.250 0.750 0.500
9 Ga 0.296 0.000 0.296
10 Ga 0.296 0.296 0.000
11 Ga 0.500 0.250 0.750
12 Ga 0.500 0.750 0.250
13 Ga 0.704 0.000 0.704
14 Ga 0.704 0.704 0.000
15 Ga 0.750 0.250 0.500
16 Ga 0.750 0.500 0.250
17 Pd 0.000 0.000 0.000

Summary:
space-group type = Im-3m
calculated total energy = -6.17 eV/atom
formation enthalpy at 0 K = -7.1 eV/f.u.